Na3HfSi2SnPO12 GGA-PBE relaxed; corrected total energy (MP2020 scheme) = -151.54 eV/f.u.; ΔE_f = -2898 meV per atom; offset from the most stable computed form = 0.000 eV per formula unit
1.0
2.599 11.595 -10.364
-5.900 -3.802 -5.752
-6.390 0.129 6.480
Na Hf Si Sn P O
12 4 8 4 4 48
Direct
0.244 0.774 0.997 Na
0.746 0.725 0.499 Na
0.746 0.274 0.999 Na
0.244 0.229 0.497 Na
0.504 0.103 0.752 Na
0.501 0.899 0.249 Na
0.003 0.604 0.750 Na
0.002 0.393 0.250 Na
0.810 0.933 0.214 Na
0.809 0.067 0.714 Na
0.308 0.434 0.213 Na
0.308 0.567 0.711 Na
0.105 0.750 0.561 Hf
0.605 0.250 0.562 Hf
0.396 0.755 0.438 Hf
0.606 0.750 0.064 Hf
0.355 0.899 0.761 Si
0.651 0.893 0.748 Si
0.650 0.108 0.246 Si
0.352 0.105 0.251 Si
0.856 0.397 0.758 Si
0.150 0.392 0.747 Si
0.147 0.604 0.242 Si
0.855 0.602 0.257 Si
0.897 0.746 0.938 Sn
0.898 0.254 0.439 Sn
0.104 0.251 0.061 Sn
0.397 0.247 0.937 Sn
0.002 0.960 0.751 P
0.000 0.042 0.244 P
0.500 0.458 0.749 P
0.499 0.541 0.244 P
0.153 0.575 0.738 O
0.854 0.577 0.755 O
0.853 0.421 0.254 O
0.150 0.421 0.246 O
0.653 0.075 0.741 O
0.353 0.079 0.750 O
0.350 0.925 0.257 O
0.653 0.925 0.243 O
0.436 0.551 0.578 O
0.560 0.558 0.914 O
0.558 0.437 0.406 O
0.430 0.452 0.069 O
0.933 0.052 0.578 O
0.066 0.055 0.920 O
0.058 0.939 0.407 O
0.931 0.953 0.069 O
0.257 0.823 0.743 O
0.752 0.835 0.754 O
0.753 0.163 0.257 O
0.256 0.184 0.241 O
0.756 0.323 0.739 O
0.251 0.335 0.757 O
0.250 0.661 0.256 O
0.757 0.678 0.243 O
0.361 0.847 0.594 O
0.652 0.855 0.924 O
0.648 0.145 0.420 O
0.357 0.140 0.080 O
0.863 0.356 0.592 O
0.149 0.367 0.924 O
0.146 0.646 0.415 O
0.858 0.644 0.086 O
0.460 0.837 0.943 O
0.545 0.830 0.567 O
0.547 0.173 0.060 O
0.457 0.169 0.433 O
0.956 0.326 0.945 O
0.047 0.324 0.563 O
0.045 0.670 0.056 O
0.960 0.666 0.439 O
0.076 0.857 0.742 O
0.922 0.864 0.757 O
0.922 0.139 0.254 O
0.079 0.142 0.245 O
0.577 0.354 0.747 O
0.420 0.363 0.753 O
0.423 0.639 0.257 O
0.577 0.641 0.243 O